Record 1
Density functional theory data (PBE+U) for Na6NiO4 after structural relaxation.

Cell: 5.4624 10.5918 10.6047 Å, 89.93 90.02 90.02°
Last column: nearest neighbours and their distance in Å.
Atoms (fractional coordinates):
Na (0.6557, 0.2484, 0.0001)  4 O 2.28-2.43
Na (0.6566, 0.7520, 0.5003)  4 O 2.28-2.43
Na (0.8447, 0.7481, 0.0002)  4 O 2.28-2.44
Na (0.8435, 0.2516, 0.4994)  4 O 2.28-2.44
Na (0.1558, 0.2486, 0.0016)  4 O 2.28-2.45
Na (0.1565, 0.7518, 0.4988)  4 O 2.28-2.45
Na (0.3445, 0.7485, 0.9986)  4 O 2.28-2.44
Na (0.3436, 0.2515, 0.5012)  4 O 2.28-2.45
Na (0.7500, 0.2870, 0.2496)  4 O 2.37-2.39
Na (0.7492, 0.7872, 0.7505)  4 O 2.38-2.40
Na (0.7494, 0.5014, 0.4627)  4 O 2.37-2.39
Na (0.7505, 0.9987, 0.9630)  4 O 2.37-2.40
Na (0.7495, 0.4988, 0.0373)  4 O 2.38-2.39
Na (0.7505, 0.0016, 0.5372)  4 O 2.37-2.40
Na (0.7512, 0.7129, 0.2501)  4 O 2.37-2.40
Na (0.7491, 0.2129, 0.7498)  4 O 2.37-2.40
Na (0.2511, 0.2872, 0.7514)  4 O 2.37-2.39
Na (0.2490, 0.7869, 0.2485)  4 O 2.37-2.39
Na (0.2503, 0.4986, 0.9632)  4 O 2.37-2.39
Na (0.2502, 0.0015, 0.4627)  4 O 2.38-2.39
Na (0.2498, 0.5013, 0.5372)  4 O 2.37-2.40
Na (0.2500, 0.9985, 0.0373)  4 O 2.37-2.39
Na (0.2512, 0.7130, 0.7488)  4 O 2.38-2.39
Na (0.2488, 0.2125, 0.2510)  4 O 2.37-2.39
Ni (0.2476, 0.0003, 0.7501)  4 O 2.07-2.09
Ni (0.2516, 0.4997, 0.2505)  4 O 2.06-2.10
Ni (0.7541, 0.4999, 0.7498)  4 O 2.07-2.09
Ni (0.7459, 0.9999, 0.2497)  4 O 2.06-2.09
O (0.9269, 0.6245, 0.6256)  1 Ni 2.09, 1 Na 2.28
O (0.9285, 0.1202, 0.1290)  1 Ni 2.06, 1 Na 2.28
O (0.9261, 0.3752, 0.8742)  1 Ni 2.09, 1 Na 2.28
O (0.9290, 0.8796, 0.3708)  1 Ni 2.07, 1 Na 2.28
O (0.5709, 0.3796, 0.6289)  1 Ni 2.07, 1 Na 2.28
O (0.5738, 0.8752, 0.1257)  1 Ni 2.09, 1 Na 2.28
O (0.5717, 0.6204, 0.8707)  1 Ni 2.07, 1 Na 2.29
O (0.5734, 0.1245, 0.3742)  1 Ni 2.09, 1 Na 2.28
O (0.4254, 0.6252, 0.3742)  1 Ni 2.10, 1 Na 2.28
O (0.4296, 0.1203, 0.8717)  1 Ni 2.07, 1 Na 2.29
O (0.4256, 0.3752, 0.1267)  1 Ni 2.09, 1 Na 2.28
O (0.4301, 0.8800, 0.6291)  1 Ni 2.07, 1 Na 2.29
O (0.0709, 0.6201, 0.1283)  1 Ni 2.07, 1 Na 2.28
O (0.0751, 0.1253, 0.6262)  1 Ni 2.09, 1 Na 2.28
O (0.0688, 0.3792, 0.3706)  1 Ni 2.06, 1 Na 2.28
O (0.0746, 0.8753, 0.8738)  1 Ni 2.09, 1 Na 2.28

* polymorph energy (0 for the lowest one): 2.0 kJ per mole of atoms
* size of the total moment: 0.182 μB per atom
* uncorrected energy: -43.3 eV per formula unit
* formation energy: -1453 kJ/mol of formula units

Record 2
Density functional theory data (PBE+U) for LiCo2OF3 after structural relaxation.

Cell: 6.0853 6.0439 6.0624 Å, 118.92 89.98 59.78°
Last column: nearest neighbours and their distance in Å.
Atoms (fractional coordinates):
Li (0.6255, 0.7500, 0.6250)  2 O 2.10, 4 F 2.13
Li (0.6255, 0.7500, 0.1250)  6 F 2.04-2.07
Co (0.2622, 0.4765, 0.1941)  1 O 1.89, 3 F 2.00-2.02
Co (0.6253, 0.2512, 0.6264)  2 O 1.95-1.96, 2 F 2.15-2.17
Co (0.9888, 0.0234, 0.0558)  1 O 1.89, 3 F 2.00-2.02
Co (0.1265, 0.2489, 0.6236)  2 O 1.95-1.96, 2 F 2.15-2.17
O (0.3836, 0.2321, 0.8187)  3 Co 1.89-1.96, 1 Li 2.10
O (0.8659, 0.2678, 0.4313)  3 Co 1.89-1.96, 1 Li 2.10
F (0.3879, 0.2214, 0.3494)  3 Co 2.02-2.22, 1 Li 2.04
F (0.8597, 0.2787, 0.9007)  3 Co 2.02-2.21, 1 Li 2.04
F (0.3857, 0.7522, 0.3685)  2 Co 2.00-2.15, 2 Li 2.07-2.13
F (0.8621, 0.7516, 0.3685)  2 Co 2.01-2.17, 2 Li 2.06-2.13
F (0.3880, 0.7475, 0.8814)  2 Co 2.00-2.15, 2 Li 2.07-2.13
F (0.8634, 0.7487, 0.8815)  2 Co 2.01-2.17, 2 Li 2.06-2.13

* polymorph energy (0 for the lowest one): 1.3 kJ per mole of atoms
* size of the total moment: 0.000 μB per atom
* uncorrected energy: -36.9 eV per formula unit
* formation energy: -1489 kJ/mol of formula units

Record 3
Density functional theory data (PBE+U) for SrMg6FeO8 after structural relaxation.

Cell: 8.7953 4.4687 4.4687 Å, 90.00 90.00 90.00°
Last column: nearest neighbours and their distance in Å.
Atoms (fractional coordinates):
Sr (0.0000, 0.5000, 0.5000)  6 O 2.23-2.40
Mg (0.5000, 0.0000, 0.0000)  6 O 2.14-2.23
Mg (0.5000, 0.5000, 0.5000)  6 O 2.00-2.23
Mg (0.2618, 0.0000, 0.5000)  6 O 2.10-2.30
Mg (0.7382, 0.0000, 0.5000)  6 O 2.10-2.30
Mg (0.2618, 0.5000, 0.0000)  6 O 2.10-2.30
Mg (0.7382, 0.5000, 0.0000)  6 O 2.10-2.30
Fe (0.0000, 0.0000, 0.0000)  6 O 2.23-2.25
O (0.2563, 0.0000, 0.0000)  5 Mg 2.14-2.23, 1 Fe 2.25
O (0.7437, 0.0000, 0.0000)  5 Mg 2.14-2.23, 1 Fe 2.25
O (0.2731, 0.5000, 0.5000)  1 Mg 2.00
O (0.7269, 0.5000, 0.5000)  1 Mg 2.00
O (0.0000, 0.0000, 0.5000)  2 Sr 2.23, 2 Fe 2.23, 2 Mg 2.30
O (0.5000, 0.0000, 0.5000)  6 Mg 2.10-2.23
O (0.0000, 0.5000, 0.0000)  2 Sr 2.23, 2 Fe 2.23, 2 Mg 2.30
O (0.5000, 0.5000, 0.0000)  6 Mg 2.10-2.23

* polymorph energy (0 for the lowest one): 6.3 kJ per mole of atoms
* size of the total moment: 0.250 μB per atom
* uncorrected energy: -93.3 eV per formula unit
* formation energy: -4027 kJ/mol of formula units